Record 1
VASP calculation (GGA-PBE) on GaMo4Se8 after structural relaxation.

Results
largest piezoelectric modulus = 0.0 C/m²
offset from the most stable computed form = 0.00 kJ per mole of atoms
energy = -245.94 eV/cell
crystal system = trigonal
ΔE_f = -875 meV/atom

The structure in CIF format:
```
data_GaMo4Se8
_symmetry_space_group_name_H-M 'R 3 m'
_symmetry_Int_Tables_number 160
_symmetry_space_group_name_Hall 'R 3 -2"'
_cell_length_a 7.3292
_cell_length_b 7.3292
_cell_length_c 17.6230
_cell_angle_alpha 90.00
_cell_angle_beta 90.00
_cell_angle_gamma 120.00
loop_
_atom_site_label
_atom_site_type_symbol
_atom_site_fract_x
_atom_site_fract_y
_atom_site_fract_z
_atom_site_occupancy
Ga1 Ga 0.0000 0.0000 0.0000 1
Mo1 Mo 0.0000 0.0000 0.5947 1
Mo2 Mo 0.0632 0.5316 0.1328 1
Se1 Se 0.0000 0.0000 0.3649 1
Se2 Se 0.0000 0.0000 0.8610 1
Se3 Se 0.0314 0.5157 0.8759 1
Se4 Se 0.0335 0.5168 0.3769 1
```

Record 2
VASP calculation (GGA-PBE) on GaMo4Se8 after structural relaxation.

Results
offset from the most stable computed form = 72.54 kJ per mole of atoms
energy = -144.42 eV/cell
crystal system = monoclinic
ΔE_f = -124 meV/atom

The structure in CIF format:
```
data_GaMo4Se8
_symmetry_space_group_name_H-M 'C 1 m 1'
_symmetry_Int_Tables_number 8
_symmetry_space_group_name_Hall 'C -2y'
_cell_length_a 11.3936
_cell_length_b 8.2159
_cell_length_c 6.6833
_cell_angle_alpha 90.00
_cell_angle_beta 101.17
_cell_angle_gamma 90.00
loop_
_atom_site_label
_atom_site_type_symbol
_atom_site_fract_x
_atom_site_fract_y
_atom_site_fract_z
_atom_site_occupancy
Ga1 Ga 0.0000 0.0000 0.0000 1
Mo1 Mo 0.2000 0.0000 0.2676 1
Mo2 Mo 0.3436 0.5000 0.6669 1
Mo3 Mo 0.4551 0.2448 0.7380 1
Se1 Se 0.0357 0.2095 0.4420 1
Se2 Se 0.1340 0.2354 0.0074 1
Se3 Se 0.1469 0.5000 0.4183 1
Se4 Se 0.2875 0.5000 0.0025 1
Se5 Se 0.3216 0.0000 0.6357 1
Se6 Se 0.3797 0.0000 0.1478 1
```